(1)
52
Lattice="9.501 0.000 0.000 0.000 6.631 0.000 0.000 1.555 8.314" Properties=species:S:1:pos:R:3 comment="MgSiH12O6F6, relaxed, DFT PBE-GGA" formation_enthalpy_0k_ev_per_fu=-52.01 m_tot_mub_per_fu=0.0 pbc="T T T"
Mg 4.751 0.778 4.157
Mg 0.000 0.000 0.000
Si 0.000 4.093 4.157
Si 4.751 3.315 0.000
H 4.142 7.621 6.815
H 0.609 6.843 2.658
H 9.275 6.507 6.150
H 6.380 6.092 5.860
H 4.977 5.729 1.993
H 6.955 5.793 4.414
H 2.622 5.678 4.339
H 7.872 5.315 1.703
H 3.772 5.175 5.311
H 7.297 5.015 0.257
H 2.129 4.900 0.182
H 0.979 4.398 1.154
H 8.523 3.788 7.160
H 7.372 3.286 8.132
H 2.205 3.171 8.057
H 5.730 3.011 3.003
H 1.630 2.871 6.611
H 6.880 2.508 3.975
H 2.546 2.393 3.900
H 4.524 2.457 6.322
H 3.121 2.093 2.454
H 0.226 1.679 2.164
H 8.893 1.342 5.656
H 5.359 0.565 1.499
O 9.135 7.431 6.437
O 5.117 6.653 2.279
O 6.379 6.398 4.929
O 3.576 5.759 4.544
O 7.873 5.621 0.772
O 1.175 4.981 0.387
O 8.327 3.205 7.927
O 1.628 2.565 7.542
O 5.926 2.427 3.770
O 3.122 1.787 3.385
O 4.384 1.532 6.035
O 0.366 0.755 1.878
F 3.869 6.329 8.046
F 0.882 5.552 3.889
F 6.149 5.565 7.578
F 8.103 4.787 3.421
F 8.988 4.693 5.686
F 4.238 4.271 6.785
F 5.264 3.915 1.529
F 0.513 3.493 2.628
F 1.399 3.398 4.893
F 3.352 2.621 0.736
F 8.620 2.634 4.425
F 5.633 1.856 0.268

(2)
16
Lattice="0.000 0.000 -5.996 -2.925 -5.067 0.000 -2.925 5.067 0.000" Properties=species:S:1:pos:R:3 comment="MgTiH6O2F6, relaxed, DFT PBE-GGA" formation_enthalpy_0k_ev_per_fu=-33.41 m_tot_mub_per_fu=2.0 de_polymorph_kj_per_mol_atoms=1.5 pbc="T T T"
Mg -2.925 1.689 -5.387
Ti 0.000 0.000 -0.278
H -3.332 -2.572 -4.203
H -1.958 -1.600 -4.203
H -3.550 0.761 -1.632
H -3.486 -0.895 -4.203
H -3.416 2.694 -1.632
H -1.810 1.612 -1.632
O -2.925 -1.689 -3.905
O -2.925 1.689 -1.413
F -4.178 0.365 -4.829
F -1.153 1.266 -4.829
F -3.505 -3.574 -1.602
F -3.446 3.435 -4.829
F -4.268 -0.244 -1.602
F -1.003 -1.249 -1.602

(3)
16
Lattice="-3.515 -4.398 -2.570 4.650 -2.044 -2.861 -1.299 -2.057 5.298" Properties=species:S:1:pos:R:3 comment="MgTiH6O2F6, relaxed, DFT PBE-GGA" formation_enthalpy_0k_ev_per_fu=-33.67 m_tot_mub_per_fu=2.0 de_polymorph_kj_per_mol_atoms=0.0 pbc="T T T"
Mg 1.475 -3.539 -1.013
Ti -3.482 -4.357 -2.546
H 0.950 -5.564 -2.597
H -0.550 -4.490 -2.384
H 0.553 -3.612 1.479
H -0.055 -5.671 -1.040
H -0.531 -3.514 2.794
H -0.763 -2.526 1.421
O 0.347 -4.951 -1.838
O -0.410 -3.421 1.779
F -0.461 -6.409 -0.146
F -3.009 -4.145 -0.535
F 3.143 -3.379 -1.927
F -2.788 -6.002 2.341
F 1.842 -3.943 0.817
F 0.601 -1.844 -1.079

(4)
76
Lattice="7.064 0.000 0.000 0.000 12.550 0.000 0.000 0.000 12.672" Properties=species:S:1:pos:R:3 comment="MgSb2H2F14, relaxed, DFT PBE-GGA" formation_enthalpy_0k_ev_per_fu=-50.39 m_tot_mub_per_fu=0.0 pbc="T T T"
Mg 1.980 3.137 1.156
Mg 5.512 9.412 5.180
Mg 1.553 3.137 7.492
Mg 5.085 9.412 11.516
Sb 0.000 0.000 0.000
Sb 0.000 6.275 0.000
Sb 3.198 9.412 2.185
Sb 6.731 3.137 4.151
Sb 3.532 6.275 6.336
Sb 3.532 0.000 6.336
Sb 0.334 9.412 8.520
Sb 3.866 3.137 10.487
H 4.203 1.441 1.451
H 4.203 4.834 1.451
H 0.671 7.716 4.884
H 0.671 11.109 4.884
H 6.394 1.441 7.787
H 6.394 4.834 7.787
H 2.862 7.716 11.220
H 2.862 11.109 11.220
F 5.279 0.493 0.542
F 5.279 5.781 0.542
F 0.641 1.722 0.670
F 0.641 4.553 0.670
F 4.528 9.412 0.727
F 1.842 9.412 0.854
F 3.303 1.717 1.692
F 3.303 4.558 1.692
F 0.269 7.026 1.711
F 0.269 11.799 1.711
F 3.319 7.522 2.199
F 3.319 11.302 2.199
F 5.580 3.137 2.631
F 1.260 3.137 2.985
F 4.792 9.412 3.351
F 2.048 9.412 3.705
F 6.851 1.247 4.137
F 6.851 5.027 4.137
F 3.802 0.751 4.625
F 3.802 5.524 4.625
F 6.836 7.991 4.643
F 6.836 10.833 4.643
F 5.374 3.137 5.482
F 0.996 3.137 5.609
F 4.173 7.997 5.665
F 4.173 10.828 5.665
F 1.746 6.768 5.794
F 1.746 12.056 5.794
F 5.318 0.493 6.878
F 5.318 5.781 6.878
F 2.891 1.722 7.006
F 2.891 4.553 7.006
F 6.069 9.412 7.063
F 1.690 9.412 7.190
F 0.229 1.717 8.028
F 0.229 4.558 8.028
F 3.263 7.026 8.046
F 3.263 11.799 8.046
F 0.213 7.522 8.535
F 0.213 11.302 8.535
F 5.017 3.137 8.967
F 2.272 3.137 9.321
F 5.804 9.412 9.686
F 1.484 9.412 10.041
F 3.745 1.247 10.473
F 3.745 5.027 10.473
F 6.795 0.751 10.961
F 6.795 5.524 10.961
F 3.761 7.991 10.979
F 3.761 10.833 10.979
F 5.222 3.137 11.818
F 2.537 3.137 11.945
F 6.423 7.997 12.001
F 6.423 10.828 12.001
F 1.786 12.056 12.130
F 1.786 6.768 12.130

(5)
28
Lattice="0.014 0.000 5.020 6.063 0.000 -0.062 0.000 9.121 0.000" Properties=species:S:1:pos:R:3 comment="NaPH6NO4F, relaxed, DFT PBE-GGA" formation_enthalpy_0k_ev_per_fu=-22.91 m_tot_mub_per_fu=0.0 pbc="T T T"
Na 3.014 0.383 4.425
Na 6.039 8.738 1.884
P 0.017 2.020 0.028
P 3.055 7.102 2.507
H 5.091 5.331 2.437
H 2.066 3.790 4.979
H 0.137 4.338 3.313
H 3.162 4.783 0.771
H 0.159 4.459 1.590
H 3.197 4.662 4.069
H 0.684 5.756 2.562
H 3.709 3.365 0.020
H 5.224 7.282 4.582
H 2.186 1.839 2.103
H 0.698 7.212 4.672
H 3.723 1.909 2.130
N 0.013 4.967 2.489
N 3.052 4.154 4.968
O 1.156 1.201 0.617
O 4.194 7.920 3.096
O 4.692 1.664 0.486
O 1.667 7.457 3.027
O 0.306 3.525 4.971
O 3.331 5.596 2.430
O 5.962 7.114 0.178
O 2.937 2.007 2.719
F 6.047 1.571 3.409
F 3.009 7.550 0.930

(6)
66
Lattice="7.917 -3.887 -0.752 -0.788 8.433 -2.571 -1.235 1.578 11.928" Properties=species:S:1:pos:R:3 comment="Na2H18PtN6F6, relaxed, DFT PBE-GGA" formation_enthalpy_0k_ev_per_fu=-29.35 m_tot_mub_per_fu=0.0 pbc="T T T"
Na 4.541 0.174 8.523
Na 5.530 5.330 5.280
Na 1.353 5.951 0.082
Na 0.363 0.795 3.325
H 6.319 0.598 -1.324
H 6.034 3.995 2.711
H -0.425 5.527 9.929
H -0.140 2.130 5.894
H 4.313 3.111 9.507
H -0.698 7.211 4.367
H 1.581 3.014 -0.902
H 6.592 -1.086 4.238
H 3.449 2.108 10.478
H 5.674 2.792 3.767
H 2.445 4.017 -1.873
H 0.220 3.333 4.838
H 5.536 1.154 6.132
H 0.774 1.950 9.425
H 0.358 4.971 2.473
H 5.120 4.175 -0.820
H 2.362 6.825 7.799
H 2.748 4.451 5.379
H 3.532 -0.700 0.806
H 3.146 1.674 3.226
H -0.883 5.001 7.520
H 0.724 2.914 8.113
H 6.777 1.124 1.085
H 5.170 3.211 0.492
H 6.096 2.439 7.014
H 1.406 1.427 7.987
H -0.202 3.686 1.591
H 4.488 4.698 0.618
H 1.544 6.838 6.357
H 3.396 4.330 6.899
H 4.350 -0.713 2.247
H 2.498 1.795 1.706
H 1.068 7.830 7.583
H 3.362 3.012 5.911
H 4.826 -1.706 1.022
H 2.532 3.113 2.693
Pt 3.341 -1.154 5.588
Pt 0.000 0.000 0.000
N 1.888 7.428 7.123
N 3.500 4.025 5.924
N 4.006 -1.303 1.482
N 2.394 2.100 2.680
N 4.310 2.180 9.932
N 6.244 3.632 3.646
N 1.583 3.945 -1.327
N -0.350 2.493 4.959
N 6.077 1.415 6.962
N 0.627 1.942 8.411
N -0.183 4.710 1.643
N 5.267 4.183 0.194
F 1.358 6.180 4.165
F 4.095 5.314 8.853
F 4.536 -0.055 4.440
F 1.799 0.810 -0.248
F 4.843 -1.544 6.814
F 6.020 -1.383 9.558
F 1.051 7.669 1.791
F -0.126 7.508 -0.954
F 2.961 0.456 6.680
F -1.473 8.509 8.185
F 2.933 5.669 1.924
F 7.367 -2.384 0.420

(7)
48
Lattice="-3.865 1.441 -2.711 -9.324 -2.131 12.161 1.296 7.698 2.342" Properties=species:S:1:pos:R:3 comment="SnH4SNO4F, relaxed, DFT PBE-GGA" formation_enthalpy_0k_ev_per_fu=-17.27 m_tot_mub_per_fu=0.0 de_polymorph_kj_per_mol_atoms=0.0 pbc="T T T"
Sn -8.543 7.085 8.913
Sn -2.190 3.888 3.382
Sn -3.350 -0.078 2.879
Sn -9.704 3.120 8.410
H -5.641 2.137 7.126
H -3.408 1.819 -1.059
H -6.252 4.870 4.667
H -8.486 5.188 12.852
H -6.773 1.048 6.447
H -2.636 2.827 0.089
H -5.121 5.960 5.345
H -9.257 4.181 11.704
H -5.242 1.227 5.762
H -11.701 0.926 10.599
H -6.651 5.781 6.030
H -0.193 6.081 1.193
H -5.388 0.472 7.266
H -3.886 3.433 -0.906
H -6.505 6.536 4.527
H -8.007 3.574 12.698
S -8.682 0.336 10.217
S -5.803 2.379 2.940
S -3.211 6.672 1.576
S -6.090 4.629 8.852
N -5.765 1.217 6.651
N -3.077 2.787 -0.854
N -6.128 5.791 5.142
N -8.817 4.220 12.647
O -7.691 -0.019 9.161
O -5.133 3.113 1.829
O -4.202 7.027 2.631
O -6.760 3.895 9.963
O -7.108 5.440 8.084
O -2.071 5.889 2.183
O -4.786 1.568 3.708
O -9.823 1.119 9.609
O -5.117 5.628 9.460
O -3.887 5.740 0.581
O -6.776 1.380 2.332
O -8.006 1.267 11.211
O -9.224 -0.831 10.914
O -6.510 3.261 3.870
O -2.670 7.839 0.878
O -5.384 3.747 7.922
F -8.497 0.854 5.938
F -1.714 2.838 1.644
F -3.396 6.154 5.855
F -10.180 4.170 10.148

(8)
48
Lattice="-7.371 7.794 9.188 -4.298 -1.393 -2.267 -1.132 -7.348 5.325" Properties=species:S:1:pos:R:3 comment="SnH4SNO4F, relaxed, DFT PBE-GGA" formation_enthalpy_0k_ev_per_fu=-15.64 m_tot_mub_per_fu=0.0 de_polymorph_kj_per_mol_atoms=13.1 pbc="T T T"
Sn -6.284 -2.559 2.888
Sn -6.175 5.523 6.975
Sn -6.517 1.613 9.359
Sn -6.626 -6.470 5.272
H -2.427 -6.428 4.584
H -7.986 -1.315 6.644
H -10.374 5.482 7.663
H -4.815 0.369 5.603
H -3.487 -5.190 4.122
H -7.903 -1.521 8.324
H -9.313 4.243 8.125
H -4.898 0.574 3.923
H -9.284 1.369 11.723
H -6.831 -3.084 6.612
H -3.517 -2.316 0.524
H -5.970 2.138 5.635
H -1.883 -4.841 4.488
H -9.083 -2.318 7.428
H -10.918 3.895 7.758
H -3.718 1.371 4.818
S -4.705 -2.744 6.610
S -10.446 0.011 10.524
S -8.095 1.797 5.636
S -2.354 -0.957 1.722
N -2.681 -5.446 4.701
N -8.516 -1.469 7.503
N -10.120 4.500 7.546
N -4.285 0.522 4.744
O -3.859 -2.646 5.411
O -10.074 -1.376 10.204
O -8.942 1.699 6.835
O -2.726 0.429 2.042
O -3.741 -1.547 1.105
O -6.706 2.383 6.250
O -9.060 0.600 11.142
O -6.095 -3.329 5.997
O -2.112 -1.761 2.944
O -8.573 2.849 4.707
O -10.689 0.814 9.302
O -4.228 -3.796 7.540
O -5.019 -1.496 7.268
O -11.469 0.176 11.532
O -7.781 0.549 4.979
O -1.332 -1.123 0.714
F -5.247 -4.340 2.980
F -6.816 -1.660 10.304
F -7.554 3.393 9.267
F -5.985 0.713 1.943